A relaxed structure of HRuRhC6O6. Source: the Materials Project, functional PBE.

Results
Symmetry: P-1
Density: 2310 kg/m3
Raw total energy: -0.2797 hartree per atom
MP2020-corrected energy: -7.89 eV/atom

Unit cell a=10.155 b=10.257 c=10.444 alpha=94.82 beta=90.43 gamma=98.21
Element x y z (fractional)
H: 0.141 0.106 0.311
H: 0.242 0.097 0.094
H: 0.758 0.903 0.906
H: 0.859 0.894 0.689
Ru: 0.215 0.265 0.065
Ru: 0.302 0.086 0.253
Ru: 0.698 0.914 0.747
Ru: 0.785 0.735 0.935
Rh: 0.112 0.273 0.313
Rh: 0.381 0.359 0.280
Rh: 0.619 0.641 0.720
Rh: 0.888 0.727 0.687
C: 0.023 0.797 0.576
C: 0.024 0.201 0.111
C: 0.048 0.436 0.313
C: 0.180 0.428 0.011
C: 0.197 0.190 0.892
C: 0.218 0.906 0.219
C: 0.275 0.347 0.446
C: 0.350 0.067 0.428
C: 0.411 0.549 0.287
C: 0.419 0.323 0.070
C: 0.449 0.666 0.662
C: 0.470 0.051 0.188
C: 0.530 0.949 0.812
C: 0.551 0.334 0.338
C: 0.581 0.677 0.930
C: 0.589 0.451 0.713
C: 0.650 0.933 0.572
C: 0.725 0.653 0.554
C: 0.782 0.094 0.781
C: 0.803 0.810 0.108
C: 0.820 0.572 0.989
C: 0.952 0.564 0.687
C: 0.976 0.799 0.889
C: 0.977 0.203 0.424
O: 0.005 0.535 0.318
O: 0.084 0.850 0.916
O: 0.101 0.842 0.505
O: 0.159 0.528 0.977
O: 0.169 0.797 0.198
O: 0.178 0.144 0.787
O: 0.284 0.367 0.558
O: 0.346 0.682 0.621
O: 0.373 0.053 0.534
O: 0.430 0.663 0.297
O: 0.431 0.976 0.852
O: 0.482 0.664 0.988
O: 0.518 0.336 0.012
O: 0.569 0.024 0.148
O: 0.570 0.337 0.703
O: 0.627 0.947 0.466
O: 0.654 0.318 0.379
O: 0.716 0.633 0.442
O: 0.822 0.856 0.213
O: 0.831 0.203 0.802
O: 0.841 0.472 0.023
O: 0.899 0.158 0.495
O: 0.916 0.150 0.084
O: 0.995 0.465 0.682